[1]
Cu3P4C4N2O12: relaxed, PBE.

Symmetry   Pbca, No. 61
ΔE_f   -1049 meV/atom
DFT total energy   -6.60 eV per atom

Cell: 9.380 9.448 16.886 Å, 90.00 90.00 90.00°
Sites, in units of the cell vectors:
Cu (0.000, 0.000, 0.000)
Cu (0.500, 0.000, 0.500)
Cu (0.500, 0.500, 0.000)
Cu (0.000, 0.500, 0.500)
Cu (0.240, 0.563, 0.144)
Cu (0.260, 0.437, 0.644)
Cu (0.740, 0.937, 0.856)
Cu (0.760, 0.063, 0.356)
Cu (0.760, 0.437, 0.856)
Cu (0.740, 0.563, 0.356)
Cu (0.260, 0.063, 0.144)
Cu (0.240, 0.937, 0.644)
P (0.283, 0.813, 0.032)
P (0.217, 0.187, 0.532)
P (0.783, 0.687, 0.968)
P (0.717, 0.313, 0.468)
P (0.717, 0.187, 0.968)
P (0.783, 0.813, 0.468)
P (0.217, 0.313, 0.032)
P (0.283, 0.687, 0.532)
P (0.043, 0.584, 0.306)
P (0.457, 0.416, 0.806)
P (0.543, 0.916, 0.694)
P (0.957, 0.084, 0.194)
P (0.957, 0.416, 0.694)
P (0.543, 0.584, 0.194)
P (0.457, 0.084, 0.306)
P (0.043, 0.916, 0.806)
C (0.343, 0.808, 0.930)
C (0.157, 0.192, 0.430)
C (0.843, 0.692, 0.070)
C (0.657, 0.308, 0.570)
C (0.657, 0.192, 0.070)
C (0.843, 0.808, 0.570)
C (0.157, 0.308, 0.930)
C (0.343, 0.692, 0.430)
C (0.162, 0.766, 0.828)
C (0.338, 0.234, 0.328)
C (0.662, 0.734, 0.172)
C (0.838, 0.266, 0.672)
C (0.838, 0.234, 0.172)
C (0.662, 0.766, 0.672)
C (0.338, 0.266, 0.828)
C (0.162, 0.734, 0.328)
N (0.264, 0.775, 0.874)
N (0.236, 0.225, 0.374)
N (0.764, 0.725, 0.126)
N (0.736, 0.275, 0.626)
N (0.736, 0.225, 0.126)
N (0.764, 0.775, 0.626)
N (0.236, 0.275, 0.874)
N (0.264, 0.725, 0.374)
O (0.123, 0.838, 0.024)
O (0.377, 0.162, 0.524)
O (0.623, 0.662, 0.976)
O (0.877, 0.338, 0.476)
O (0.877, 0.162, 0.976)
O (0.623, 0.838, 0.476)
O (0.377, 0.338, 0.024)
O (0.123, 0.662, 0.524)
O (0.316, 0.657, 0.051)
O (0.184, 0.343, 0.551)
O (0.816, 0.843, 0.949)
O (0.684, 0.157, 0.449)
O (0.684, 0.343, 0.949)
O (0.816, 0.657, 0.449)
O (0.184, 0.157, 0.051)
O (0.316, 0.843, 0.551)
O (0.135, 0.423, 0.080)
O (0.365, 0.577, 0.580)
O (0.635, 0.077, 0.920)
O (0.865, 0.923, 0.420)
O (0.865, 0.577, 0.920)
O (0.635, 0.423, 0.420)
O (0.365, 0.923, 0.080)
O (0.135, 0.077, 0.580)
O (0.940, 0.996, 0.119)
O (0.560, 0.004, 0.619)
O (0.440, 0.504, 0.881)
O (0.060, 0.496, 0.381)
O (0.060, 0.004, 0.881)
O (0.440, 0.996, 0.381)
O (0.560, 0.496, 0.119)
O (0.940, 0.504, 0.619)
O (0.114, 0.523, 0.233)
O (0.386, 0.477, 0.733)
O (0.614, 0.977, 0.767)
O (0.886, 0.023, 0.267)
O (0.886, 0.477, 0.767)
O (0.614, 0.523, 0.267)
O (0.386, 0.023, 0.233)
O (0.114, 0.977, 0.733)
O (0.392, 0.639, 0.210)
O (0.108, 0.361, 0.710)
O (0.892, 0.861, 0.790)
O (0.608, 0.139, 0.290)
O (0.608, 0.361, 0.790)
O (0.892, 0.639, 0.290)
O (0.108, 0.139, 0.210)
O (0.392, 0.861, 0.710)

***

[2]
Sr2CuCN2O2: relaxed, PBE.

Symmetry   P4/mmm, No. 123
ΔE_f   -1420 meV/atom
DFT total energy   -6.66 eV per atom

Cell: 3.837 3.837 8.178 Å, 90.00 90.00 90.00°
Sites, in units of the cell vectors:
Sr (0.500, 0.500, 0.712)
Sr (0.500, 0.500, 0.288)
Cu (0.000, 0.000, 0.500)
C (0.000, 0.000, 0.000)
N (0.000, 0.000, 0.848)
N (0.000, 0.000, 0.152)
O (0.000, 0.500, 0.500)
O (0.500, 0.000, 0.500)

***

[3]
CuCSN: relaxed, PBE.

Symmetry   R3m, No. 160
ΔE_f   -60 meV/atom
DFT total energy   -6.29 eV per atom
Distance to the lowest polymorph of the same formula   0.00 eV/f.u.

Cell: 5.915 5.915 5.915 Å, 38.02 38.02 38.02°
Sites, in units of the cell vectors:
Cu (0.000, 0.000, 0.000)
C (0.188, 0.188, 0.188)
S (0.289, 0.289, 0.289)
N (0.116, 0.116, 0.116)

***

Q: Which of these has the lowest DFT total energy?
A: Sr2CuCN2O2

***

Q: Among the records above, which one has the highest ΔE_f?
A: CuCSN